This record from the Materials Project describes an optimized crystal structure of PmYTl2. The functional is PBE.

Summary:
SG: Fm-3m
energy: -4.369 eV per atom

Lattice parameters (Å, degrees): 5.4320 5.4320 5.4320 60.00 60.00 60.00
Closest atoms and distances in Å follow each position.
Fractional positions:
Tl  0.7500  0.7500  0.7500  4 Y 3.33, 4 Pm 3.33
Tl  0.2500  0.2500  0.2500  4 Pm 3.33, 4 Y 3.33
Y  0.0000  0.0000  0.0000  8 Tl 3.33
Pm  0.5000  0.5000  0.5000  8 Tl 3.33

***

This record from the Materials Project describes an optimized crystal structure of TiSiO4. The functional is PBE.

Summary:
SG: Cmcm
energy with MP2020 corrections: -104.970 eV for the cell shown

Lattice parameters (Å, degrees): 4.8446 4.8446 6.2785 90.00 90.00 112.97
Closest atoms and distances in Å follow each position.
Fractional positions:
Si  0.6527  0.3473  0.7500  4 O 1.62-1.67
O  0.7718  0.2282  0.9573  1 Si 1.62
O  0.2282  0.7718  0.0427  1 Si 1.62
O  0.7212  0.7824  0.2500  1 Si 1.67
Ti  0.0000  0.0000  0.5000  6 O 1.86-2.07
Ti  0.0000  0.0000  0.0000  6 O 1.86-2.07
O  0.2282  0.7718  0.4573  1 Si 1.62
Si  0.3473  0.6527  0.2500  4 O 1.62-1.67
O  0.2788  0.2176  0.7500  1 Si 1.67
O  0.2176  0.2788  0.2500  1 Si 1.67
O  0.7718  0.2282  0.5427  1 Si 1.62
O  0.7824  0.7212  0.7500  1 Si 1.67

***

This record from the Materials Project describes an optimized crystal structure of TlRh3. The functional is PBE.

Summary:
SG: P6_3/mmc
energy: -5.968 eV per atom

Lattice parameters (Å, degrees): 5.7120 5.7120 4.5713 90.00 90.00 120.00
Closest atoms and distances in Å follow each position.
Fractional positions:
Tl  0.6667  0.3333  0.2500  12 Rh 2.85-2.86
Rh  0.1605  0.3209  0.2500  8 Rh 2.75-2.96, 4 Tl 2.85-2.86
Rh  0.8395  0.6791  0.7500  8 Rh 2.75-2.96, 4 Tl 2.85-2.86
Tl  0.3333  0.6667  0.7500  12 Rh 2.85-2.86
Rh  0.6791  0.8395  0.2500  8 Rh 2.75-2.96, 4 Tl 2.85-2.86
Rh  0.8395  0.1605  0.7500  8 Rh 2.75-2.96, 4 Tl 2.85-2.86
Rh  0.3209  0.1605  0.7500  8 Rh 2.75-2.96, 4 Tl 2.85-2.86
Rh  0.1605  0.8395  0.2500  8 Rh 2.75-2.96, 4 Tl 2.85-2.86

***

This record from the Materials Project describes an optimized crystal structure of MgI2O6. The functional is PBE.

Summary:
SG: P2_12_12_1
energy with MP2020 corrections: -186.161 eV for the cell shown

Lattice parameters (Å, degrees): 5.3903 5.7045 17.2638 90.00 90.00 90.00
Closest atoms and distances in Å follow each position.
Fractional positions:
O  0.0255  0.4738  0.7986  1 I 1.84
I  0.0317  0.6369  0.0753  3 O 1.85-1.88
O  0.6196  0.8789  0.3792  1 I 1.86
O  0.3899  0.0043  0.8365  1 I 1.88
O  0.9745  0.9738  0.7014  1 I 1.84
O  0.5663  0.6174  0.5164  1 I 1.85
O  0.1196  0.6211  0.6208  1 I 1.86
O  0.4695  0.9767  0.6575  1 I 1.85
I  0.7466  0.7208  0.2935  3 O 1.84-1.86
I  0.2466  0.7792  0.7065  3 O 1.84-1.86
O  0.0305  0.0233  0.1575  1 I 1.85
Mg  0.2869  0.6680  0.4053  5 O 2.12-2.25
O  0.7355  0.1702  0.5468  1 I 1.88
O  0.5255  0.0262  0.2014  1 I 1.84
O  0.5305  0.4767  0.8425  1 I 1.85
I  0.5317  0.8631  0.9247  3 O 1.85-1.88
Mg  0.7131  0.1680  0.0947  5 O 2.12-2.25
O  0.2645  0.6702  0.9532  1 I 1.88
O  0.4337  0.1174  0.9836  1 I 1.85
O  0.8899  0.4957  0.1635  1 I 1.88
O  0.1101  0.9957  0.3365  1 I 1.88
I  0.7534  0.2792  0.7935  3 O 1.84-1.86
O  0.7645  0.8298  0.0468  1 I 1.88
O  0.9337  0.3826  0.0164  1 I 1.85
O  0.8804  0.1211  0.8792  1 I 1.86
O  0.3804  0.3789  0.1208  1 I 1.86
O  0.6101  0.5043  0.6635  1 I 1.88
Mg  0.2131  0.3320  0.9053  5 O 2.12-2.25
I  0.9683  0.1369  0.4247  3 O 1.85-1.88
O  0.4745  0.5262  0.2986  1 I 1.84
O  0.2355  0.3298  0.4532  1 I 1.88
O  0.0663  0.8826  0.4836  1 I 1.85
I  0.4683  0.3631  0.5753  3 O 1.85-1.88
I  0.2534  0.2208  0.2065  3 O 1.84-1.86
O  0.9695  0.5233  0.3425  1 I 1.85
Mg  0.7869  0.8320  0.5947  5 O 2.12-2.25

***

This record from the Materials Project describes an optimized crystal structure of ThP2H2CO8. The functional is PBE.

Summary:
SG: Pna2_1
energy with MP2020 corrections: -401.063 eV for the cell shown

Lattice parameters (Å, degrees): 8.6370 9.0738 10.8195 90.00 90.00 90.00
Closest atoms and distances in Å follow each position.
Fractional positions:
O  0.2819  0.5076  0.0888  1 P 1.54
P  0.3557  0.1626  0.4087  3 O 1.54
C  0.7341  0.7079  0.5079  2 H 1.10
P  0.3557  0.6626  0.0913  3 O 1.54
H  0.8120  0.6167  0.4825  1 C 1.10
O  0.5109  0.6617  0.0216  1 P 1.54
C  0.2341  0.2921  0.4921  2 H 1.10
Th  0.2116  0.2659  0.1059  6 O 2.28-2.37
O  0.4200  0.1703  0.9878  1 P 1.54
O  0.7188  0.7628  0.2180  1 O 1.23
O  0.0109  0.3383  0.9784  1 P 1.54
Th  0.2116  0.7659  0.3941  6 O 2.28-2.37
O  0.2819  0.0076  0.4112  1 P 1.54
P  0.5666  0.6277  0.5856  3 O 1.54-1.55
O  0.8723  0.7842  0.7262  1 P 1.54
O  0.7819  0.4924  0.9112  1 P 1.54
O  0.5626  0.1819  0.7791  1 P 1.55
O  0.5922  0.9587  0.9157  1 P 1.55
C  0.2341  0.7921  0.0079  2 H 1.10
H  0.3120  0.8833  0.9825  1 C 1.10
H  0.8120  0.1167  0.0175  1 C 1.10
O  0.9200  0.3297  0.4878  1 P 1.54
H  0.6970  0.2586  0.0792  1 C 1.10
O  0.2188  0.7372  0.7180  1 O 1.23
O  0.8723  0.2842  0.7738  1 P 1.54
O  0.0922  0.5413  0.4157  1 P 1.55
O  0.3723  0.2158  0.2738  1 P 1.54
H  0.3120  0.3833  0.5175  1 C 1.10
O  0.0626  0.3181  0.2791  1 P 1.55
P  0.8557  0.3374  0.9087  3 O 1.54
O  0.0922  0.0413  0.0843  1 P 1.55
O  0.5922  0.4587  0.5843  1 P 1.55
H  0.1970  0.7414  0.9208  1 C 1.10
O  0.2188  0.2372  0.7820  1 O 1.23
P  0.8557  0.8374  0.5913  3 O 1.54
O  0.5626  0.6819  0.7209  1 P 1.55
O  0.5109  0.1617  0.4784  1 P 1.54
P  0.5666  0.1277  0.9144  3 O 1.54-1.55
Th  0.7116  0.2341  0.6059  6 O 2.28-2.37
O  0.7188  0.2628  0.2820  1 O 1.23
H  0.6970  0.7586  0.4208  1 C 1.10
H  0.1970  0.2414  0.5792  1 C 1.10
P  0.0666  0.8723  0.0856  3 O 1.54-1.55
P  0.0666  0.3723  0.4144  3 O 1.54-1.55
Th  0.7116  0.7341  0.8941  6 O 2.28-2.37
O  0.2716  0.8611  0.6990  1 O 1.23
O  0.2716  0.3611  0.8010  1 O 1.23
O  0.7716  0.1389  0.3010  1 O 1.23
O  0.0109  0.8383  0.5216  1 P 1.54
O  0.3723  0.7158  0.2262  1 P 1.54
O  0.0626  0.8181  0.2209  1 P 1.55
O  0.9200  0.8297  0.0122  1 P 1.54
O  0.7819  0.9924  0.5888  1 P 1.54
C  0.7341  0.2079  0.9921  2 H 1.10
O  0.4200  0.6703  0.5122  1 P 1.54
O  0.7716  0.6389  0.1990  1 O 1.23

***

This record from the Materials Project describes an optimized crystal structure of SrGa2Si2O8. The functional is PBE.

Summary:
SG: C2/c
ΔE to the lowest computed polymorph: 16 meV per atom
energy with MP2020 corrections: -387.266 eV for the cell shown

Lattice parameters (Å, degrees): 9.4526 9.4526 8.5954 83.02 83.02 89.68
Closest atoms and distances in Å follow each position.
Fractional positions:
O  0.0901  0.8213  0.9981  1 Si 1.64
Ga  0.0592  0.2010  0.1191  4 O 1.81-1.87
O  0.3580  0.8583  0.0592  1 Si 1.65
O  0.2231  0.4795  0.7299  1 Si 1.64
O  0.5691  0.3128  0.4970  1 Si 1.64, 1 Ga 1.84
O  0.8213  0.0901  0.4981  1 Si 1.64
Ga  0.7990  0.9408  0.3809  4 O 1.81-1.87
Ga  0.2930  0.5473  0.5257  4 O 1.83-1.86
O  0.6872  0.4309  0.0030  1 Si 1.64, 1 Ga 1.84
O  0.9460  0.8165  0.3809  1 Si 1.64, 1 Ga 1.81
Si  0.7815  0.0607  0.0090  4 O 1.64-1.65
Sr  0.9385  0.4284  0.8018  5 O 2.47-2.74
O  0.8583  0.3580  0.5592  1 Si 1.65
O  0.9862  0.7323  0.6893  1 Si 1.64
Si  0.0607  0.7815  0.5090  4 O 1.64-1.65
Si  0.2773  0.4348  0.9030  4 O 1.62-1.66
Ga  0.9408  0.7990  0.8809  4 O 1.81-1.87
O  0.1835  0.0540  0.1191  1 Si 1.64, 1 Ga 1.81
Ga  0.2010  0.0592  0.6191  4 O 1.81-1.87
Ga  0.4527  0.7070  0.9743  4 O 1.83-1.86
O  0.1787  0.9099  0.5019  1 Si 1.64
Sr  0.0615  0.5716  0.1982  5 O 2.47-2.74
Si  0.9393  0.2185  0.4910  4 O 1.64-1.65
O  0.8750  0.6249  0.9930  1 Si 1.66
O  0.7323  0.9862  0.1893  1 Si 1.64
O  0.6420  0.1417  0.9408  1 Si 1.65
O  0.0138  0.2677  0.3107  1 Si 1.64
Sr  0.4284  0.9385  0.3018  5 O 2.47-2.74
O  0.3751  0.1250  0.5070  1 Si 1.66
O  0.4795  0.2231  0.2299  1 Si 1.64
Si  0.7227  0.5652  0.0970  4 O 1.62-1.66
O  0.6764  0.5915  0.6062  1 Si 1.62
O  0.3128  0.5691  0.9970  1 Si 1.64, 1 Ga 1.84
O  0.0540  0.1835  0.6191  1 Si 1.64, 1 Ga 1.81
O  0.1417  0.6420  0.4408  1 Si 1.65
O  0.5915  0.6764  0.1062  1 Si 1.62
O  0.8165  0.9460  0.8809  1 Si 1.64, 1 Ga 1.81
Ga  0.5473  0.2930  0.0257  4 O 1.83-1.86
O  0.4309  0.6872  0.5030  1 Si 1.64, 1 Ga 1.84
O  0.3236  0.4085  0.3938  1 Si 1.62
O  0.1250  0.3751  0.0070  1 Si 1.66
Ga  0.7070  0.4527  0.4743  4 O 1.83-1.86
Si  0.2185  0.9393  0.9910  4 O 1.64-1.65
O  0.2677  0.0138  0.8107  1 Si 1.64
O  0.6249  0.8750  0.4930  1 Si 1.66
O  0.5205  0.7769  0.7701  1 Si 1.64
O  0.7769  0.5205  0.2701  1 Si 1.64
O  0.4085  0.3236  0.8938  1 Si 1.62
O  0.9099  0.1787  0.0019  1 Si 1.64
Si  0.4348  0.2773  0.4030  4 O 1.62-1.66
Si  0.5652  0.7227  0.5970  4 O 1.62-1.66
Sr  0.5716  0.0615  0.6982  5 O 2.47-2.74